Fe2O3 (PBE with a Hubbard U, relaxed); V = 13.2 A^3/atom; energy of formation from the pure elements = -1.386 eV per atom; mass density = 4.01 g cm⁻³; energy = -6.428 eV per atom
1.0
10.0380 0.0000 0.0000
1.1829 10.2616 0.0000
0.7937 0.9134 10.2641
Fe O
32 48
direct
0.0000 0.0000 0.0000
0.0032 0.8848 0.6533
0.0824 0.1288 0.7377
0.0912 0.3985 0.3300
0.1381 0.0804 0.3753
0.1600 0.6738 0.5039
0.2080 0.7479 0.8835
0.2303 0.4118 0.9943
0.2337 0.3890 0.7092
0.2537 0.6066 0.1872
0.2889 0.9360 0.1432
0.3629 0.2229 0.4967
0.4340 0.8711 0.4508
0.4697 0.5413 0.5124
0.4744 0.3098 0.2126
0.4962 0.5589 0.8228
0.5065 0.2750 0.9313
0.5171 0.6660 0.2513
0.5310 0.7993 0.9578
0.5912 0.0361 0.6776
0.6317 0.0390 0.4186
0.6508 0.0217 0.9590
0.6812 0.7420 0.6872
0.7256 0.5324 0.0083
0.7363 0.8410 0.1898
0.7409 0.3355 0.7369
0.7711 0.1949 0.1626
0.7706 0.4814 0.4809
0.8796 0.1979 0.5239
0.9463 0.5773 0.7403
0.9468 0.9253 0.3204
0.9655 0.3542 0.0221
0.0481 0.8375 0.4689
0.0625 0.0637 0.5707
0.0913 0.3862 0.1457
0.0951 0.9867 0.2004
0.1088 0.5313 0.6342
0.1158 0.3538 0.8759
0.1491 0.5699 0.3491
0.1496 0.1061 0.9018
0.1527 0.7632 0.7087
0.1726 0.8845 0.9918
0.1956 0.5985 0.0144
0.2154 0.2474 0.3795
0.2306 0.2158 0.6606
0.3081 0.9774 0.3362
0.3482 0.7541 0.1795
0.3517 0.7020 0.4679
0.3642 0.2884 0.0646
0.3690 0.4248 0.8322
0.3698 0.3980 0.5539
0.3977 0.7203 0.8745
0.4255 0.5062 0.2176
0.4460 0.0471 0.5554
0.4586 0.9578 0.0324
0.5292 0.2074 0.3707
0.5462 0.6080 0.6486
0.5615 0.8401 0.3022
0.5994 0.1719 0.7977
0.6114 0.8578 0.5443
0.6121 0.1850 0.0765
0.6195 0.5590 0.3868
0.6228 0.8973 0.8073
0.6330 0.4088 0.8918
0.6485 0.6523 0.8676
0.6490 0.6926 0.1051
0.6979 0.3258 0.5604
0.7478 0.0630 0.5560
0.7572 0.0192 0.2706
0.7860 0.3858 0.1318
0.8025 0.5183 0.6574
0.8188 0.9303 0.0325
0.8729 0.7557 0.6949
0.8857 0.7704 0.2761
0.9015 0.5213 0.9220
0.9129 0.2446 0.7070
0.9158 0.1770 0.0339
0.9293 0.3789 0.4293
0.9463 0.1289 0.3572
0.9826 0.9879 0.8054